(1)
This record from the Materials Project describes a relaxed structure of Mg4Mo3O12. The functional is PBE+U.

abc: 5.241 10.744 17.352
angles: 90.00 90.00 90.00
Element x y z (fractional)
Mg 0.079 0.250 0.250
Mg 0.921 0.750 0.750
Mg 0.421 0.750 0.750
Mg 0.579 0.250 0.250
Mg 0.233 0.072 0.527
Mg 0.767 0.928 0.473
Mg 0.267 0.928 0.027
Mg 0.767 0.572 0.473
Mg 0.733 0.072 0.973
Mg 0.233 0.428 0.527
Mg 0.733 0.428 0.973
Mg 0.267 0.572 0.027
Mg 0.256 0.250 0.697
Mg 0.744 0.750 0.303
Mg 0.244 0.750 0.197
Mg 0.756 0.250 0.803
Mo 0.295 0.534 0.334
Mo 0.705 0.466 0.666
Mo 0.205 0.466 0.834
Mo 0.705 0.034 0.666
Mo 0.795 0.534 0.166
Mo 0.295 0.966 0.334
Mo 0.795 0.966 0.166
Mo 0.205 0.034 0.834
Mo 0.270 0.250 0.055
Mo 0.730 0.750 0.945
Mo 0.230 0.750 0.555
Mo 0.770 0.250 0.445
O 0.056 0.250 0.506
O 0.944 0.750 0.494
O 0.444 0.750 0.006
O 0.556 0.250 0.994
O 0.079 0.115 0.037
O 0.921 0.885 0.963
O 0.421 0.885 0.537
O 0.921 0.615 0.963
O 0.579 0.115 0.463
O 0.079 0.385 0.037
O 0.579 0.385 0.463
O 0.421 0.615 0.537
O 0.092 0.002 0.424
O 0.908 0.998 0.576
O 0.408 0.998 0.924
O 0.908 0.502 0.576
O 0.592 0.002 0.076
O 0.092 0.498 0.424
O 0.592 0.498 0.076
O 0.408 0.502 0.924
O 0.329 0.122 0.291
O 0.671 0.878 0.709
O 0.171 0.878 0.791
O 0.671 0.622 0.709
O 0.829 0.122 0.209
O 0.329 0.378 0.291
O 0.829 0.378 0.209
O 0.171 0.622 0.791
O 0.336 0.250 0.156
O 0.664 0.750 0.844
O 0.164 0.750 0.656
O 0.836 0.250 0.344
O 0.045 0.626 0.276
O 0.955 0.374 0.724
O 0.455 0.374 0.776
O 0.955 0.126 0.724
O 0.545 0.626 0.224
O 0.045 0.874 0.276
O 0.545 0.874 0.224
O 0.455 0.126 0.776
O 0.060 0.623 0.120
O 0.940 0.377 0.880
O 0.440 0.377 0.620
O 0.940 0.123 0.880
O 0.560 0.623 0.380
O 0.060 0.877 0.120
O 0.560 0.877 0.380
O 0.440 0.123 0.620

Summary:
* space group: No. 62
* total DFT energy (no corrections): -126.67 eV per formula unit
* formation enthalpy at 0 K: -46.211 eV per formula unit

***

(2)
This record from the Materials Project describes a relaxed structure of CsErMo2O8. The functional is PBE+U.

abc: 6.050 6.050 8.234
angles: 90.00 90.00 120.00
Element x y z (fractional)
Cs 0.000 0.000 0.000
Er 0.000 0.000 0.500
Mo 0.333 0.667 0.265
Mo 0.667 0.333 0.735
O 0.170 0.830 0.335
O 0.830 0.170 0.665
O 0.170 0.339 0.335
O 0.830 0.661 0.665
O 0.661 0.830 0.335
O 0.339 0.170 0.665
O 0.333 0.667 0.052
O 0.667 0.333 0.948

Summary:
* space group: No. 164
* total DFT energy (no corrections): -85.78 eV per formula unit
* formation enthalpy at 0 K: -30.940 eV per formula unit

***

(3)
This record from the Materials Project describes a relaxed structure of V2Zn4O9. The functional is PBE+U.

abc: 8.305 9.828 10.516
angles: 62.83 90.00 90.00
Element x y z (fractional)
V 0.378 0.147 0.996
V 0.878 0.853 0.004
V 0.354 0.958 0.557
V 0.854 0.042 0.443
V 0.381 0.533 0.970
V 0.881 0.467 0.030
V 0.370 0.359 0.479
V 0.870 0.641 0.521
Zn 0.812 0.192 0.915
Zn 0.312 0.808 0.085
Zn 0.029 0.560 0.281
Zn 0.529 0.440 0.719
Zn 0.353 0.714 0.390
Zn 0.853 0.286 0.610
Zn 0.667 0.935 0.227
Zn 0.167 0.065 0.773
Zn 0.176 0.260 0.262
Zn 0.676 0.740 0.738
Zn 0.104 0.398 0.790
Zn 0.604 0.602 0.210
Zn 0.550 0.252 0.259
Zn 0.050 0.748 0.741
Zn 0.054 0.937 0.235
Zn 0.554 0.063 0.765
O 0.074 0.865 0.943
O 0.574 0.135 0.057
O 0.703 0.412 0.120
O 0.203 0.588 0.880
O 0.735 0.925 0.874
O 0.235 0.075 0.126
O 0.930 0.346 0.952
O 0.430 0.654 0.048
O 0.385 0.498 0.539
O 0.885 0.502 0.461
O 0.689 0.614 0.610
O 0.189 0.386 0.390
O 0.829 0.676 0.151
O 0.329 0.324 0.849
O 0.015 0.222 0.764
O 0.341 0.816 0.509
O 0.667 0.257 0.746
O 0.167 0.743 0.254
O 0.869 0.988 0.080
O 0.369 0.012 0.920
O 0.360 0.133 0.398
O 0.860 0.867 0.602
O 0.035 0.604 0.641
O 0.535 0.396 0.359
O 0.867 0.814 0.366
O 0.367 0.186 0.634
O 0.531 0.555 0.844
O 0.031 0.445 0.156
O 0.026 0.079 0.332
O 0.526 0.921 0.668
O 0.679 0.059 0.338
O 0.179 0.941 0.662
O 0.363 0.345 0.114
O 0.863 0.655 0.886
O 0.515 0.778 0.236
O 0.841 0.184 0.491

Summary:
* space group: No. 4
* total DFT energy (no corrections): -88.91 eV per formula unit
* formation enthalpy at 0 K: -30.750 eV per formula unit

***

(4)
This record from the Materials Project describes a relaxed structure of MgNiGe2O6. The functional is PBE+U.

abc: 5.225 9.726 9.009
angles: 90.00 90.00 78.92
Element x y z (fractional)
Mg 0.750 0.500 0.232
Mg 0.750 0.000 0.732
Mg 0.250 0.500 0.768
Mg 0.250 0.000 0.268
Ni 0.750 0.000 0.092
Ni 0.250 0.000 0.908
Ni 0.750 0.500 0.592
Ni 0.250 0.500 0.408
Ge 0.790 0.300 0.905
Ge 0.790 0.800 0.405
Ge 0.710 0.700 0.905
Ge 0.710 0.200 0.405
Ge 0.210 0.700 0.095
Ge 0.210 0.200 0.595
Ge 0.290 0.300 0.095
Ge 0.290 0.800 0.595
O 0.597 0.361 0.070
O 0.597 0.861 0.570
O 0.903 0.639 0.070
O 0.903 0.139 0.570
O 0.403 0.639 0.930
O 0.403 0.139 0.430
O 0.097 0.361 0.930
O 0.097 0.861 0.430
O 0.117 0.383 0.244
O 0.117 0.883 0.744
O 0.382 0.617 0.244
O 0.382 0.117 0.744
O 0.883 0.617 0.756
O 0.883 0.117 0.256
O 0.618 0.383 0.756
O 0.617 0.883 0.256
O 0.869 0.115 0.909
O 0.869 0.615 0.409
O 0.631 0.885 0.909
O 0.631 0.385 0.409
O 0.131 0.885 0.091
O 0.131 0.385 0.591
O 0.369 0.115 0.091
O 0.369 0.615 0.591

Summary:
* total DFT energy (no corrections): -61.38 eV per formula unit
* formation enthalpy at 0 K: -21.730 eV per formula unit
* ΔE to the lowest computed polymorph: 0.00 kcal/mol of atoms

***

(5)
This record from the Materials Project describes a relaxed structure of Li2MnNi3O8. The functional is PBE+U.

abc: 8.118 8.202 8.208
angles: 89.88 89.97 89.93
Element x y z (fractional)
Li 0.001 0.000 0.001
Li 0.251 0.250 0.751
Li 0.753 0.748 0.748
Li 0.499 0.001 0.497
Li 0.003 0.502 0.504
Li 0.749 0.249 0.248
Li 0.247 0.754 0.252
Li 0.502 0.499 0.001
Mn 0.375 0.871 0.876
Mn 0.873 0.124 0.623
Mn 0.622 0.622 0.370
Mn 0.124 0.374 0.125
Ni 0.628 0.121 0.877
Ni 0.874 0.371 0.878
Ni 0.125 0.628 0.879
Ni 0.623 0.374 0.623
Ni 0.376 0.627 0.623
Ni 0.127 0.880 0.628
Ni 0.375 0.378 0.369
Ni 0.124 0.128 0.377
Ni 0.873 0.877 0.376
Ni 0.377 0.126 0.124
Ni 0.626 0.872 0.124
Ni 0.876 0.624 0.127
O 0.393 0.111 0.891
O 0.617 0.887 0.892
O 0.893 0.620 0.897
O 0.857 0.123 0.859
O 0.108 0.381 0.892
O 0.643 0.350 0.875
O 0.358 0.639 0.875
O 0.143 0.874 0.862
O 0.633 0.139 0.644
O 0.860 0.360 0.639
O 0.142 0.647 0.637
O 0.613 0.610 0.605
O 0.381 0.860 0.645
O 0.387 0.389 0.601
O 0.107 0.112 0.624
O 0.872 0.891 0.603
O 0.605 0.390 0.370
O 0.387 0.607 0.373
O 0.115 0.898 0.393
O 0.141 0.361 0.363
O 0.882 0.124 0.392
O 0.368 0.146 0.354
O 0.629 0.858 0.354
O 0.859 0.627 0.358
O 0.359 0.374 0.140
O 0.136 0.143 0.130
O 0.862 0.857 0.143
O 0.395 0.878 0.111
O 0.642 0.641 0.133
O 0.619 0.101 0.108
O 0.886 0.394 0.117
O 0.106 0.611 0.121

Summary:
* space group: No. 1
* total DFT energy (no corrections): -75.39 eV per formula unit
* formation enthalpy at 0 K: -20.278 eV per formula unit
* ΔE to the lowest computed polymorph: 0.00 kcal/mol of atoms

***

(6)
This record from the Materials Project describes a relaxed structure of Fe2CuO4. The functional is PBE+U.

abc: 6.052 6.052 14.709
angles: 87.92 87.92 59.10
Element x y z (fractional)
Fe 0.003 0.003 0.000
Fe 0.339 0.840 0.791
Fe 0.840 0.339 0.791
Fe 0.667 0.667 0.955
Fe 0.657 0.657 0.579
Fe 0.666 0.167 0.459
Fe 0.167 0.666 0.459
Fe 0.987 0.987 0.248
Fe 0.345 0.345 0.672
Fe 0.000 0.491 0.125
Fe 0.491 0.000 0.125
Fe 0.675 0.675 0.336
Cu 0.332 0.332 0.916
Cu 0.835 0.835 0.790
Cu 0.002 0.002 0.626
Cu 0.167 0.167 0.459
Cu 0.330 0.330 0.292
Cu 0.496 0.496 0.126
O 0.517 0.517 0.872
O 0.513 0.973 0.870
O 0.663 0.663 0.710
O 0.973 0.513 0.870
O 0.697 0.165 0.712
O 0.829 0.829 0.531
O 0.165 0.697 0.712
O 0.007 0.007 0.870
O 0.846 0.304 0.538
O 0.987 0.987 0.378
O 0.304 0.846 0.538
O 0.173 0.173 0.718
O 0.028 0.489 0.378
O 0.158 0.158 0.198
O 0.489 0.028 0.378
O 0.347 0.347 0.540
O 0.165 0.637 0.207
O 0.330 0.330 0.052
O 0.637 0.165 0.207
O 0.504 0.504 0.386
O 0.353 0.826 0.043
O 0.667 0.667 0.204
O 0.826 0.353 0.043
O 0.822 0.822 0.044

Summary:
* space group: No. 8
* total DFT energy (no corrections): -43.22 eV per formula unit
* formation enthalpy at 0 K: -9.646 eV per formula unit
* ΔE to the lowest computed polymorph: 0.67 kcal/mol of atoms